[1]
# Ba9Cu7Cl2O15

Ba9Cu7Cl2O15 after structural relaxation (PBE, the Materials Project database).

The structure in extended XYZ format:
```
33
Lattice="3.613 4.424 -9.372 -10.761 -0.300 2.137 0.390 5.461 2.728" Properties=species:S:1:pos:R:3 pbc="T T T"
Ba -3.428 3.504 0.333
Ba -3.574 2.062 -3.618
Ba -6.239 5.126 -2.512
Ba -3.332 6.081 -4.840
Ba -0.520 4.459 -1.995
Ba 0.900 6.199 -5.680
Ba -7.659 3.386 1.173
Ba -5.381 -0.150 1.069
Ba 1.806 2.212 -4.686
Cu -0.470 1.137 -2.208
Cu 1.701 3.796 -7.842
Cu -8.850 0.328 0.607
Cu -2.381 0.508 -0.678
Cu -6.679 2.988 -5.027
Cu 0.195 2.730 1.364
Cu -4.768 3.616 -6.557
Cl -1.179 2.850 -5.536
Cl -5.970 1.275 -1.699
O -1.813 2.235 -1.347
O 2.001 4.943 -3.322
O -4.946 7.350 -3.160
O 1.266 5.492 -0.326
O -2.544 4.240 2.724
O 1.039 2.314 -1.914
O -5.173 4.173 -4.747
O -2.771 1.062 1.137
O -7.601 4.099 3.728
O -5.186 2.580 2.433
O 2.963 7.571 -4.731
O -1.587 5.412 0.240
O -7.828 0.921 2.141
O 2.737 4.393 -6.318
O -3.380 4.793 -2.254
```

Results
calculated formation energy: -1.887 eV per atom
total DFT energy (no corrections): -5.328 eV per atom

=====

[2]
# Mg14NbZn

Mg14NbZn after structural relaxation (PBE, the Materials Project database).

The structure in extended XYZ format:
```
16
Lattice="6.322 0.000 0.000 -3.161 5.475 0.000 0.000 0.000 9.958" Properties=species:S:1:pos:R:3 pbc="T T T"
Mg -1.584 4.560 1.245
Mg -1.564 4.572 6.223
Mg 3.161 1.829 1.245
Mg 3.161 1.807 6.223
Mg 1.584 4.560 1.245
Mg 1.565 4.572 6.223
Mg 1.527 0.944 3.745
Mg 1.527 0.944 8.702
Mg 0.000 3.588 3.745
Mg 0.000 3.588 8.702
Mg 4.795 0.944 3.745
Mg 4.795 0.944 8.702
Mg 3.161 3.650 3.756
Mg 3.161 3.650 8.691
Nb 0.000 1.825 6.223
Zn 0.000 1.825 1.245
```

Results
calculated formation energy: 0.058 eV per atom
total DFT energy (no corrections): -2.052 eV per atom
polymorph energy (0 for the lowest one): 0 meV/atom

=====

[3]
# Ce3Sb5Pd6

Ce3Sb5Pd6 after structural relaxation (PBE, the Materials Project database).

The structure in extended XYZ format:
```
28
Lattice="4.489 0.000 0.000 0.000 10.138 0.000 0.000 0.000 13.599" Properties=species:S:1:pos:R:3 pbc="T T T"
Ce 0.000 2.491 4.424
Ce 2.244 7.647 11.224
Ce 2.244 7.647 2.375
Ce 0.000 2.463 0.000
Ce 2.244 7.675 6.799
Ce 0.000 2.491 9.174
Sb 0.000 5.308 1.718
Sb 0.000 8.738 4.576
Sb 0.000 8.406 0.000
Sb 2.244 4.830 5.081
Sb 2.244 1.732 6.799
Sb 0.000 5.308 11.881
Sb 2.244 4.830 8.517
Sb 0.000 8.738 9.022
Sb 2.244 1.400 2.223
Sb 2.244 1.400 11.376
Pd 0.000 10.053 2.190
Pd 2.244 0.085 4.609
Pd 2.244 4.019 2.481
Pd 2.244 5.304 0.000
Pd 0.000 4.834 6.799
Pd 0.000 6.119 4.318
Pd 0.000 6.119 9.280
Pd 2.244 9.981 0.000
Pd 0.000 10.053 11.409
Pd 2.244 4.019 11.118
Pd 0.000 0.157 6.799
Pd 2.244 0.085 8.989
```

Results
calculated formation energy: -0.852 eV per atom
total DFT energy (no corrections): -5.818 eV per atom

=====

[4]
# Ti2MnOs

Ti2MnOs after structural relaxation (PBE, the Materials Project database).

The structure in extended XYZ format:
```
4
Lattice="2.370 -3.598 0.059 -0.031 -2.543 3.478 -1.925 -3.851 -0.164" Properties=species:S:1:pos:R:3 pbc="T T T"
Ti 0.103 -2.498 0.843
Ti 0.310 -7.494 2.529
Mn 0.207 -4.996 1.686
Os 0.000 0.000 0.000
```

Results
calculated formation energy: -0.504 eV per atom
total DFT energy (no corrections): -9.549 eV per atom

=====

[5]
# Li3SbP2O8

Li3SbP2O8 after structural relaxation (PBE, the Materials Project database).

The structure in extended XYZ format:
```
28
Lattice="-3.949 2.528 -4.455 -3.520 -2.840 1.509 -3.233 7.270 6.992" Properties=species:S:1:pos:R:3 pbc="T T T"
Li 0.000 0.000 0.000
Li -1.975 1.264 -2.228
Li -5.318 4.901 5.147
Li -3.377 2.215 4.250
Li -5.351 3.480 2.023
Li -5.385 2.058 -1.101
Sb -5.334 7.078 1.702
Sb -5.369 -0.119 2.344
P -7.991 6.900 3.956
P -3.237 4.649 3.160
P -7.466 2.310 0.886
P -2.712 0.059 0.090
O -5.063 6.744 5.967
O -6.868 7.844 3.497
O -8.934 6.452 2.749
O -7.429 5.488 4.446
O -4.664 5.235 2.953
O -3.146 4.263 4.665
O -5.625 2.693 4.166
O -7.405 3.731 1.639
O -3.297 3.228 2.407
O -5.078 4.266 -0.121
O -7.557 2.696 -0.620
O -6.038 1.724 1.093
O -3.273 1.471 -0.401
O -1.769 0.507 1.297
O -3.834 -0.885 0.549
O -5.640 0.216 -1.922
```

Results
calculated formation energy: -2.522 eV per atom
total DFT energy (no corrections): -6.434 eV per atom
polymorph energy (0 for the lowest one): 0 meV/atom

=====

[6]
# Er2InHg

Er2InHg after structural relaxation (PBE, the Materials Project database).

The structure in extended XYZ format:
```
4
Lattice="0.054 -4.939 1.787 -3.799 -1.669 3.220 -3.568 -3.452 -1.715" Properties=species:S:1:pos:R:3 pbc="T T T"
Er -1.828 -2.515 0.823
Er -5.485 -7.545 2.469
In 0.000 0.000 0.000
Hg -3.657 -5.030 1.646
```

Results
calculated formation energy: -0.449 eV per atom
total DFT energy (no corrections): -3.497 eV per atom

=====

[7]
# K3Mn

K3Mn after structural relaxation (PBE, the Materials Project database).

The structure in extended XYZ format:
```
8
Lattice="-4.089 4.089 6.311 4.089 -4.089 6.311 4.089 4.089 -6.311" Properties=species:S:1:pos:R:3 pbc="T T T"
K 1.581 5.670 0.000
K 2.508 -1.581 6.311
K 2.508 1.581 0.000
K 1.581 2.508 6.311
K 0.000 0.000 9.467
K 0.000 0.000 3.156
Mn 0.000 4.089 3.156
Mn 4.089 0.000 3.156
```

Results
calculated formation energy: 0.652 eV per atom
total DFT energy (no corrections): -2.472 eV per atom

=====

[8]
# BaNdCuBO5

BaNdCuBO5 after structural relaxation (PBE, the Materials Project database).

The structure in extended XYZ format:
```
18
Lattice="5.555 0.000 0.000 0.000 5.555 0.000 0.000 0.000 7.658" Properties=species:S:1:pos:R:3 pbc="T T T"
Ba 2.777 2.777 3.924
Ba 0.000 0.000 3.924
Nd 2.777 2.777 0.036
Nd 0.000 0.000 0.036
Cu 0.000 2.777 6.004
Cu 2.777 0.000 6.004
B 2.777 0.000 2.021
B 0.000 2.777 2.021
O 1.916 0.862 1.349
O 0.862 3.639 1.349
O 0.000 2.777 3.416
O 2.777 0.000 3.416
O 4.693 1.916 1.349
O 3.639 4.693 1.349
O 1.402 4.180 6.119
O 1.375 1.402 6.119
O 4.180 4.153 6.119
O 4.153 1.375 6.119
```

Results
calculated formation energy: -2.840 eV per atom
total DFT energy (no corrections): -7.148 eV per atom